Computed, not measured: a relaxed structure of Rh2O3 at the PBE level of DFT.

Calculated values
calculated total energy	-6.301	eV/atom
ΔE_f	-3.992	eV/f.u.

The structure in POSCAR format:
```
Rh2O3
1.0
10.1142 0.0000 0.0000
0.0000 2.7837 0.0000
0.0000 0.0000 8.3341
Rh O
8 12
Cartesian
0.0999 0.6959 1.3910
1.2815 2.0878 4.2750
3.7756 0.6959 0.1080
4.9571 2.0878 5.5581
5.1570 0.6959 2.7760
6.3386 2.0878 8.2261
8.8327 0.6959 4.0591
10.0142 2.0878 6.9431
1.0691 2.0878 0.3189
1.1411 0.6959 5.8846
1.4371 0.6959 2.8812
3.6200 2.0878 7.0483
3.9160 2.0878 1.7175
3.9880 0.6959 4.4859
6.1262 2.0878 3.8482
6.1982 0.6959 6.6166
6.4942 0.6959 1.2858
8.6771 2.0878 5.4529
8.9731 2.0878 2.4495
9.0451 0.6959 8.0152
```

=====

Computed, not measured: a relaxed structure of B11Rh18 at the PBE level of DFT.

Calculated values
calculated total energy	-7.392	eV/atom
ΔE_f	-8.343	eV/f.u.

The structure in POSCAR format:
```
B11Rh18
1.0
5.5354 0.0000 0.0000
-0.0518 6.9193 0.0000
-0.7279 -3.2797 8.5592
B Rh
11 18
Cartesian
0.0000 0.0000 0.0000
-0.2962 3.1797 5.3296
0.5598 3.1730 0.3120
0.8592 -0.8171 4.6240
1.7645 1.7345 3.0814
2.0072 -1.8510 7.4664
2.4864 1.7410 6.4641
3.4726 1.4328 2.3127
4.3716 3.9558 0.7146
4.5353 5.0111 2.2985
4.6760 0.0011 5.0804
0.0733 2.9968 2.5561
0.0901 -1.2094 6.6732
0.7906 5.2800 1.0819
0.9242 1.3762 4.9960
0.8654 3.1473 7.1679
1.5428 1.2954 0.8080
1.5275 4.1450 4.6508
1.7284 0.5231 8.0781
2.3664 -0.3404 3.0637
2.8316 3.5191 2.2985
2.7596 -0.6321 5.8553
3.6051 5.9838 0.7051
3.6824 1.8670 4.5791
3.5688 3.6699 6.7411
4.3020 1.7830 0.3695
4.3762 4.8370 4.3234
4.4074 1.1105 7.2637
5.1305 0.1448 2.8454
```